! LuTh, optimized geometry, DFT PBE; values from VASP
! Crystal system   trigonal
! Symmetry   R-3m (166)
! Final energy   -11.89 eV for the cell shown
! Calculated volume   61 Å³/f.u.
! Formation energy from the elements   0.56 kcal/mol of atoms
&SYSTEM
  ibrav = 0, nat = 2, ntyp = 2
/
ATOMIC_SPECIES
Lu 174.97 Lu.upf
Th 232.04 Th.upf
ATOMIC_POSITIONS crystal
Lu 0.000 0.000 0.000
Th 0.500 0.500 0.500
CELL_PARAMETERS angstrom
5.794 -1.759 0.000
5.794 1.759 0.000
5.260 0.000 2.999